No. 1
Here is an optimized crystal structure of Cs2As8S13 from the Materials Project. Energies are from PBE.

Cell lengths 12.2105, 18.9317, 23.7754 Å; angles 90.00, 90.00, 90.00 degrees
Atoms (fractional coordinates):
1 Cs 0.9517 0.8035 0.6329
2 Cs 0.4517 0.3035 0.8671
3 Cs 0.0455 0.7029 0.3786
4 Cs 0.0455 0.2971 0.1214
5 Cs 0.9545 0.2971 0.6214
6 Cs 0.4545 0.2029 0.6214
7 Cs 0.4545 0.7971 0.8786
8 Cs 0.4517 0.6965 0.6329
9 Cs 0.5455 0.2029 0.1214
10 Cs 0.5483 0.6965 0.1329
11 Cs 0.0483 0.8035 0.1329
12 Cs 0.5483 0.3035 0.3671
13 Cs 0.9517 0.1965 0.8671
14 Cs 0.9545 0.7029 0.8786
15 Cs 0.5455 0.7971 0.3786
16 Cs 0.0483 0.1965 0.3671
17 As 0.6495 0.9171 0.5602
18 As 0.3448 0.5792 0.9668
19 As 0.6230 0.9709 0.0621
20 As 0.9160 0.0705 0.1910
21 As 0.3448 0.4208 0.5332
22 As 0.1984 0.4385 0.3021
23 As 0.5840 0.4295 0.6910
24 As 0.8505 0.4171 0.4398
25 As 0.4160 0.4295 0.1910
26 As 0.8770 0.5291 0.5621
27 As 0.8448 0.9208 0.9668
28 As 0.2784 0.4163 0.6743
29 As 0.5840 0.5705 0.8090
30 As 0.4052 0.0887 0.2905
31 As 0.1264 0.9093 0.9624
32 As 0.3016 0.9385 0.6979
33 As 0.3016 0.0615 0.8021
34 As 0.4052 0.9113 0.2095
35 As 0.1552 0.0792 0.0332
36 As 0.8016 0.5615 0.6979
37 As 0.5948 0.0887 0.7905
38 As 0.7784 0.9163 0.8257
39 As 0.2216 0.9163 0.3257
40 As 0.6552 0.4208 0.0332
41 As 0.8770 0.4709 0.9379
42 As 0.6984 0.0615 0.3021
43 As 0.1230 0.5291 0.0621
44 As 0.9052 0.5887 0.2095
45 As 0.6230 0.0291 0.4379
46 As 0.7216 0.4163 0.1743
47 As 0.3770 0.9709 0.5621
48 As 0.1552 0.9208 0.4668
49 As 0.9160 0.9295 0.3090
50 As 0.3736 0.4093 0.0376
51 As 0.7216 0.5837 0.3257
52 As 0.5948 0.9113 0.7095
53 As 0.2784 0.5837 0.8257
54 As 0.1230 0.4709 0.4379
55 As 0.1264 0.0907 0.5376
56 As 0.6552 0.5792 0.4668
57 As 0.6264 0.4093 0.5376
58 As 0.8736 0.9093 0.4624
59 As 0.3736 0.5907 0.4624
60 As 0.0948 0.5887 0.7095
61 As 0.1984 0.5615 0.1979
62 As 0.8736 0.0907 0.0376
63 As 0.8448 0.0792 0.5332
64 As 0.0948 0.4113 0.7905
65 As 0.8016 0.4385 0.8021
66 As 0.8505 0.5829 0.0602
67 As 0.0840 0.9295 0.8090
68 As 0.6984 0.9385 0.1979
69 As 0.7784 0.0837 0.6743
70 As 0.3505 0.0829 0.4398
71 As 0.1495 0.5829 0.5602
72 As 0.1495 0.4171 0.9398
73 As 0.4160 0.5705 0.3090
74 As 0.6264 0.5907 0.9624
75 As 0.9052 0.4113 0.2905
76 As 0.6495 0.0829 0.9398
77 As 0.3505 0.9171 0.0602
78 As 0.2216 0.0837 0.1743
79 As 0.3770 0.0291 0.9379
80 As 0.0840 0.0705 0.6910
81 S 0.4827 0.0061 0.6320
82 S 0.9299 0.9935 0.9093
83 S 0.2522 0.1505 0.0967
84 S 0.1689 0.8597 0.8757
85 S 0.9838 0.1610 0.5110
86 S 0.7470 0.1655 0.9933
87 S 0.9838 0.8390 0.9890
88 S 0.8254 0.6652 0.2756
89 S 0.7472 0.1012 0.3890
90 S 0.4827 0.9939 0.8680
91 S 0.4871 0.1163 0.9794
92 S 0.0691 0.1340 0.2162
93 S 0.9827 0.5061 0.8680
94 S 0.0173 0.4939 0.1320
95 S 0.9871 0.6163 0.5206
96 S 0.9309 0.8660 0.7838
97 S 0.0162 0.8390 0.4890
98 S 0.0162 0.1610 0.0110
99 S 0.2472 0.3988 0.3890
100 S 0.9299 0.0065 0.5907
101 S 0.6634 0.1576 0.8627
102 S 0.5699 0.1418 0.2705
103 S 0.2528 0.1012 0.8890
104 S 0.0173 0.5061 0.3680
105 S 0.5701 0.4935 0.0907
106 S 0.2470 0.6655 0.5067
107 S 0.2530 0.8345 0.0067
108 S 0.9871 0.3837 0.9794
109 S 0.2470 0.3345 0.9933
110 S 0.8254 0.3348 0.2244
111 S 0.4299 0.5065 0.9093
112 S 0.1666 0.1349 0.7628
113 S 0.4871 0.8837 0.5206
114 S 0.3311 0.3597 0.1243
115 S 0.9309 0.1340 0.7162
116 S 0.7522 0.6505 0.4033
117 S 0.7528 0.6012 0.6110
118 S 0.0701 0.9935 0.4093
119 S 0.3334 0.6349 0.2372
120 S 0.4301 0.8582 0.7295
121 S 0.0691 0.8660 0.2838
122 S 0.6689 0.3597 0.6243
123 S 0.7530 0.6655 0.0067
124 S 0.0699 0.6418 0.2295
125 S 0.8366 0.3424 0.3627
126 S 0.1689 0.1403 0.6243
127 S 0.1746 0.6652 0.7756
128 S 0.6634 0.8424 0.6373
129 S 0.8366 0.6576 0.1373
130 S 0.6666 0.6349 0.7372
131 S 0.5691 0.6340 0.2838
132 S 0.7472 0.8988 0.1110
133 S 0.3311 0.6403 0.3757
134 S 0.4309 0.6340 0.7838
135 S 0.5162 0.6610 0.4890
136 S 0.5162 0.3390 0.0110
137 S 0.4838 0.3390 0.5110
138 S 0.7522 0.3495 0.0967
139 S 0.8334 0.1349 0.2628
140 S 0.6746 0.1652 0.7244
141 S 0.5691 0.3660 0.2162
142 S 0.7478 0.8495 0.9033
143 S 0.3366 0.1576 0.3627
144 S 0.8334 0.8651 0.2372
145 S 0.6666 0.3651 0.7628
146 S 0.7470 0.8345 0.5067
147 S 0.1666 0.8651 0.7372
148 S 0.6746 0.8348 0.7756
149 S 0.5173 0.0061 0.1320
150 S 0.0701 0.0065 0.0907
151 S 0.7528 0.3988 0.8890
152 S 0.2522 0.8495 0.4033
153 S 0.9301 0.6418 0.7295
154 S 0.5701 0.5065 0.4093
155 S 0.1746 0.3348 0.7244
156 S 0.6689 0.6403 0.8757
157 S 0.3254 0.1652 0.2244
158 S 0.0129 0.6163 0.0206
159 S 0.4309 0.3660 0.7162
160 S 0.0699 0.3582 0.2705
161 S 0.8311 0.8597 0.3757
162 S 0.5173 0.9939 0.3680
163 S 0.2478 0.6505 0.9033
164 S 0.2528 0.8988 0.6110
165 S 0.2478 0.3495 0.5967
166 S 0.4299 0.4935 0.5907
167 S 0.0129 0.3837 0.4794
168 S 0.3334 0.3651 0.2628
169 S 0.1634 0.3424 0.8627
170 S 0.4301 0.1418 0.7705
171 S 0.5129 0.1163 0.4794
172 S 0.8311 0.1403 0.1243
173 S 0.3254 0.8348 0.2756
174 S 0.2530 0.1655 0.4933
175 S 0.7478 0.1505 0.5967
176 S 0.4838 0.6610 0.9890
177 S 0.5699 0.8582 0.2295
178 S 0.2472 0.6012 0.1110
179 S 0.9301 0.3582 0.7705
180 S 0.1634 0.6576 0.6373
181 S 0.7530 0.3345 0.4933
182 S 0.3366 0.8424 0.1373
183 S 0.5129 0.8837 0.0206
184 S 0.9827 0.4939 0.6320

Properties
The value obtained for the MP2020-corrected energy is -0.3427 Ry per atom. For the total energy, the calculation gives -4.38 eV/atom. As for the space-group type: Pbcn, No. 60. The value obtained for the formation energy is -626.5 meV/atom.

=====

No. 2
Here is an optimized crystal structure of Nb6GePt from the Materials Project. Energies are from PBE.

Cell lengths 5.1935, 5.1935, 5.1935 Å; angles 90.00, 90.00, 90.00 degrees
Atoms (fractional coordinates):
1 Nb 0.0000 0.5000 0.7499
2 Nb 0.5000 0.2501 0.0000
3 Nb 0.7499 0.0000 0.5000
4 Nb 0.0000 0.5000 0.2501
5 Nb 0.5000 0.7499 0.0000
6 Nb 0.2501 0.0000 0.5000
7 Ge 0.0000 0.0000 0.0000
8 Pt 0.5000 0.5000 0.5000

Properties
For the total energy, the calculation gives -9.22 eV/atom. As for the space-group type: Pm-3, No. 200. The value obtained for the formation energy is -308.6 meV/atom.

=====

No. 3
Here is an optimized crystal structure of TiOF from the Materials Project. Energies are from PBE.

Cell lengths 2.8829, 2.8829, 3.9688 Å; angles 90.00, 90.00, 90.00 degrees
Atoms (fractional coordinates):
1 Ti 0.0000 0.0000 0.0000
2 O 0.5000 0.5000 0.0000
3 F 0.0000 0.0000 0.5000

Properties
The value obtained for the MP2020-corrected energy is -0.6160 Ry per atom. For the total energy, the calculation gives -8.00 eV/atom. As for the space-group type: P4/mmm, No. 123. The value obtained for the formation energy is -3462.3 meV/atom.

=====

No. 4
Here is an optimized crystal structure of TlGaSe2 from the Materials Project. Energies are from PBE.

Cell lengths 7.7914, 7.7914, 16.0596 Å; angles 83.29, 83.29, 89.81 degrees
Atoms (fractional coordinates):
1 Tl 0.8271 0.6573 0.8831
2 Tl 0.3427 0.1729 0.6169
3 Tl 0.1729 0.3427 0.1169
4 Tl 0.6573 0.8271 0.3831
5 Tl 0.8448 0.2831 0.6033
6 Tl 0.7169 0.1552 0.8967
7 Tl 0.1552 0.7169 0.3967
8 Tl 0.2831 0.8448 0.1033
9 Ga 0.0866 0.7116 0.6649
10 Ga 0.2913 0.4192 0.8360
11 Ga 0.5808 0.7087 0.6640
12 Ga 0.7087 0.5808 0.1640
13 Ga 0.4192 0.2913 0.3360
14 Ga 0.2884 0.9134 0.8351
15 Ga 0.9134 0.2884 0.3351
16 Ga 0.7116 0.0866 0.1649
17 Se 0.4296 0.0524 0.2503
18 Se 0.9476 0.5704 0.2497
19 Se 0.5704 0.9476 0.7497
20 Se 0.2494 0.6443 0.9306
21 Se 0.0524 0.4296 0.7503
22 Se 0.6443 0.2494 0.4306
23 Se 0.7506 0.3557 0.0694
24 Se 0.3557 0.7506 0.5694
25 Se 0.9534 0.0466 0.2500
26 Se 0.0466 0.9534 0.7500
27 Se 0.4298 0.5702 0.2500
28 Se 0.5702 0.4298 0.7500
29 Se 0.7148 0.8566 0.0717
30 Se 0.1434 0.2852 0.4283
31 Se 0.2852 0.1434 0.9283
32 Se 0.8566 0.7148 0.5717

Properties
The value obtained for the MP2020-corrected energy is -0.2876 Ry per atom. For the total energy, the calculation gives -3.68 eV/atom. As for the space-group type: C2/c, No. 15. The value obtained for the formation energy is -816.8 meV/atom. Its distance to the lowest polymorph of the same formula is 0.0 kJ/mol of atoms.